1.
Here is a geometry-optimized MnNi5N4 structure from Materials Project. Energies are from PBE.

DFT total energy = -140.5 eV/cell
SG = Pmmn (59)
ΔE_f = -29 meV/atom

Unit cell a=5.814 b=8.512 c=4.208 alpha=90.00 beta=90.00 gamma=90.00
Sites, in units of the cell vectors:
Mn1 0.250 0.250 0.238
Mn2 0.750 0.750 0.762
Ni1 0.037 0.592 0.203
Ni2 0.037 0.908 0.203
Ni3 0.250 0.750 0.681
Ni4 0.463 0.592 0.203
Ni5 0.463 0.908 0.203
Ni6 0.537 0.092 0.797
Ni7 0.537 0.408 0.797
Ni8 0.750 0.250 0.319
Ni9 0.963 0.092 0.797
Ni10 0.963 0.408 0.797
N1 0.026 0.250 0.517
N2 0.250 0.060 0.025
N3 0.250 0.440 0.025
N4 0.474 0.250 0.517
N5 0.526 0.750 0.483
N6 0.750 0.560 0.975
N7 0.750 0.940 0.975
N8 0.974 0.750 0.483

2.
Here is a geometry-optimized MnNi3N3 structure from Materials Project. Energies are from PBE.

DFT total energy = -101.1 eV/cell
SG = P2_1/m (11)
ΔE_f = -20 meV/atom

Unit cell a=7.547 b=3.329 c=7.555 alpha=90.00 beta=119.85 gamma=90.00
Sites, in units of the cell vectors:
Mn1 0.167 0.250 0.333
Mn2 0.833 0.750 0.667
Ni1 0.139 0.250 0.878
Ni2 0.261 0.750 0.639
Ni3 0.379 0.750 0.239
Ni4 0.621 0.250 0.761
Ni5 0.739 0.250 0.361
Ni6 0.861 0.750 0.122
N1 0.098 0.750 0.756
N2 0.257 0.250 0.158
N3 0.341 0.250 0.597
N4 0.659 0.750 0.403
N5 0.743 0.750 0.842
N6 0.902 0.250 0.244

3.
Here is a geometry-optimized MnNiN2 structure from Materials Project. Energies are from PBE.

DFT total energy = -63.3 eV/cell
SG = P6_3/mmc (194)
ΔE_f = -190 meV/atom

Unit cell a=2.620 b=2.620 c=11.985 alpha=90.00 beta=90.00 gamma=120.00
Sites, in units of the cell vectors:
Mn1 0.333 0.667 0.250
Mn2 0.667 0.333 0.750
Ni1 0.000 0.000 0.000
Ni2 0.000 0.000 0.500
N1 0.000 0.000 0.152
N2 0.000 0.000 0.348
N3 0.000 0.000 0.652
N4 0.000 0.000 0.848

4.
Here is a geometry-optimized MnOsN2 structure from Materials Project. Energies are from PBE.

DFT total energy = -144.2 eV/cell
SG = Pna2_1 (33)
ΔE_f = 74 meV/atom

Unit cell a=5.173 b=6.368 c=5.204 alpha=90.00 beta=90.00 gamma=90.00
Sites, in units of the cell vectors:
Mn1 0.129 0.117 0.000
Mn2 0.371 0.617 0.500
Mn3 0.629 0.383 0.000
Mn4 0.871 0.883 0.500
Os1 0.064 0.661 0.008
Os2 0.436 0.161 0.508
Os3 0.564 0.839 0.008
Os4 0.936 0.339 0.508
N1 0.036 0.632 0.388
N2 0.085 0.084 0.354
N3 0.415 0.584 0.854
N4 0.464 0.132 0.888
N5 0.536 0.868 0.388
N6 0.585 0.416 0.354
N7 0.915 0.916 0.854
N8 0.964 0.368 0.888